Entry 1:
# Na10In4Si7Ge4S5O48

A relaxed structure of Na10In4Si7Ge4S5O48 (PBE-GGA, Materials Project).

Properties
DFT total energy in Ha/atom: -0.2285
Total energy after the MP2020 corrections in eV/atom: -6.640

Cell: 9.0091 15.4600 22.3229 Å, 84.92 89.87 89.63°
Positions (direct):
Na 0.0000 0.0000 0.0000
Na 0.0004 0.3297 0.3417
Na 0.0205 0.6860 0.3222
Na 0.1508 0.1797 0.8244
Na 0.1506 0.5157 0.1586
Na 0.1648 0.4971 0.5003
Na 0.1726 0.1643 0.1576
Na 0.1763 0.1888 0.4883
Na 0.2729 0.6457 0.7477
Na 0.3314 0.9918 0.5785
Na 0.3421 0.9901 0.0760
Na 0.3442 0.3354 0.9151
Na 0.3715 0.3550 0.4137
Na 0.3933 0.6450 0.2487
Na 0.5009 0.4998 0.9994
Na 0.5038 0.8323 0.3435
Na 0.5215 0.1920 0.3223
Na 0.6446 0.6865 0.8172
Na 0.6673 0.9991 0.5029
Na 0.6778 0.6877 0.4869
Na 0.6808 0.3377 0.8350
Na 0.6909 0.3459 0.1504
Na 0.6942 0.0169 0.8216
Na 0.8264 0.1693 0.7442
Na 0.8331 0.4892 0.5764
Na 0.8358 0.8464 0.9118
Na 0.8383 0.5076 0.0754
Na 0.8681 0.1466 0.2454
Na 0.8699 0.8571 0.4164
Na 0.9925 0.6883 0.9760
In 0.3205 0.0092 0.2233
In 0.3218 0.3343 0.5589
In 0.3306 0.6702 0.3918
In 0.3356 0.6822 0.8868
In 0.3400 0.3359 0.0556
In 0.3546 0.0231 0.7220
In 0.8197 0.8328 0.5592
In 0.8207 0.5160 0.2205
In 0.8301 0.1696 0.3915
In 0.8383 0.1735 0.8933
In 0.8433 0.8387 0.0556
In 0.8516 0.5199 0.7188
Si 0.0373 0.3400 0.1638
Si 0.0367 0.6758 0.4927
Si 0.0520 0.0078 0.8293
Si 0.1260 0.5087 0.3264
Si 0.1384 0.1757 0.9920
Si 0.1911 0.4863 0.6536
Si 0.1931 0.1543 0.3231
Si 0.2109 0.8238 0.9950
Si 0.4546 0.8237 0.4943
Si 0.4712 0.4867 0.1555
Si 0.4786 0.1574 0.8252
Si 0.5346 0.1762 0.4922
Si 0.5447 0.5076 0.8254
Si 0.6237 0.0054 0.3285
Si 0.6337 0.6792 0.9892
Si 0.6910 0.6556 0.3246
Si 0.6951 0.9872 0.6556
Si 0.7082 0.3258 0.9916
Si 0.9558 0.3229 0.4938
Si 0.9704 0.9881 0.1541
Si 0.9752 0.6569 0.8226
Ge 0.2845 0.3533 0.2685
Ge 0.2991 0.0193 0.9352
Ge 0.2996 0.6801 0.6011
Ge 0.3479 0.3567 0.7722
Ge 0.3721 0.0185 0.4339
Ge 0.3792 0.6844 0.0982
Ge 0.7923 0.5195 0.9320
Ge 0.7936 0.1811 0.6003
Ge 0.8196 0.8549 0.2720
Ge 0.8675 0.5194 0.4335
Ge 0.8735 0.8555 0.7688
Ge 0.8753 0.1857 0.0989
S 0.0001 0.3629 0.8178
S 0.0068 0.6935 0.1615
S 0.1236 0.8322 0.6631
S 0.1564 0.1794 0.6555
S 0.1692 0.8619 0.3190
S 0.1795 0.5293 0.9949
S 0.4933 0.8665 0.8201
S 0.4967 0.5228 0.4931
S 0.5070 0.1832 0.1623
S 0.5434 0.8317 0.1652
S 0.6246 0.3325 0.6646
S 0.6464 0.6781 0.6538
S 0.6699 0.0252 0.9866
S 0.6760 0.3640 0.3212
S 0.9932 0.0226 0.4928
O 0.0026 0.8465 0.3270
O 0.0123 0.5005 0.6538
O 0.0149 0.5382 0.9961
O 0.0208 0.1771 0.3347
O 0.0230 0.5128 0.2674
O 0.0226 0.8400 0.6120
O 0.0302 0.4938 0.3905
O 0.0318 0.8470 0.9960
O 0.0327 0.1625 0.0543
O 0.0399 0.8222 0.7225
O 0.0469 0.1804 0.9299
O 0.1145 0.3270 0.2322
O 0.1217 0.6872 0.4289
O 0.1270 0.9956 0.8972
O 0.1323 0.3464 0.4977
O 0.1443 0.6824 0.8338
O 0.1471 0.6593 0.5515
O 0.1488 0.0104 0.1571
O 0.1561 0.0388 0.4885
O 0.1642 0.3490 0.1141
O 0.1680 0.3505 0.8258
O 0.1689 0.6814 0.1703
O 0.1716 0.0294 0.7774
O 0.1874 0.9032 0.2576
O 0.2027 0.2238 0.5963
O 0.2043 0.1073 0.2616
O 0.2051 0.7457 0.6640
O 0.2090 0.0872 0.6524
O 0.2209 0.2188 0.7065
O 0.2218 0.9128 0.3662
O 0.2232 0.4151 0.3296
O 0.2239 0.0782 0.9958
O 0.2255 0.7554 0.9460
O 0.2262 0.9047 0.6617
O 0.2268 0.4368 0.9951
O 0.2297 0.5938 0.3264
O 0.2308 0.4391 0.5942
O 0.2381 0.5706 0.0474
O 0.2407 0.5697 0.9377
O 0.2459 0.7758 0.3203
O 0.2522 0.2538 0.9956
O 0.2721 0.4292 0.7151
O 0.2746 0.5833 0.6525
O 0.2802 0.7748 0.0620
O 0.2854 0.1021 0.3825
O 0.2889 0.2500 0.3178
O 0.3073 0.9155 0.9844
O 0.3571 0.9170 0.4832
O 0.3739 0.2485 0.8112
O 0.3806 0.4326 0.2165
O 0.3823 0.1058 0.8831
O 0.3829 0.5844 0.1503
O 0.3825 0.7735 0.5574
O 0.4114 0.2522 0.4971
O 0.4238 0.5497 0.4339
O 0.4282 0.9001 0.1620
O 0.4287 0.9150 0.8669
O 0.4389 0.5736 0.5404
O 0.4398 0.7755 0.8202
O 0.4423 0.5937 0.8216
O 0.4434 0.0803 0.4932
O 0.4440 0.2194 0.2156
O 0.4457 0.0937 0.1558
O 0.4462 0.4142 0.8263
O 0.4464 0.7605 0.4397
O 0.4523 0.4333 0.0975
O 0.4612 0.9051 0.7587
O 0.4628 0.2348 0.1065
O 0.4654 0.4279 0.5019
O 0.4697 0.7422 0.1636
O 0.4809 0.6837 0.6563
O 0.4919 0.0974 0.7697
O 0.5034 0.9978 0.2767
O 0.5066 0.0313 0.9925
O 0.5137 0.3507 0.3300
O 0.5168 0.0028 0.6559
O 0.5200 0.3394 0.6145
O 0.5202 0.6837 0.3349
O 0.5282 0.6617 0.0507
O 0.5327 0.3502 0.9955
O 0.5399 0.9878 0.3955
O 0.5456 0.6885 0.9269
O 0.5489 0.3270 0.7247
O 0.6203 0.8245 0.2250
O 0.6215 0.1866 0.4289
O 0.6259 0.4928 0.8931
O 0.6321 0.8472 0.4977
O 0.6423 0.1586 0.5517
O 0.6451 0.8445 0.1143
O 0.6485 0.1873 0.8349
O 0.6482 0.5021 0.1586
O 0.6608 0.5367 0.4900
O 0.6611 0.8647 0.8289
O 0.6708 0.1839 0.1670
O 0.6709 0.5000 0.7756
O 0.6958 0.5851 0.6531
O 0.6982 0.7206 0.5946
O 0.7014 0.6020 0.2671
O 0.7018 0.4012 0.2586
O 0.7042 0.2439 0.6641
O 0.7058 0.7193 0.7047
O 0.7164 0.0553 0.9233
O 0.7191 0.0938 0.3248
O 0.7205 0.9316 0.9926
O 0.7241 0.5830 0.9912
O 0.7288 0.9148 0.3282
O 0.7337 0.9362 0.5977
O 0.7349 0.4018 0.6588
O 0.7384 0.4167 0.3659
O 0.7410 0.2739 0.9341
O 0.7448 0.0765 0.0291
O 0.7529 0.2763 0.3231
O 0.7592 0.7524 0.9959
O 0.7703 0.2729 0.0581
O 0.7741 0.9335 0.7196
O 0.7786 0.6077 0.3863
O 0.7817 0.0836 0.6520
O 0.7875 0.7506 0.3154
O 0.8041 0.4213 0.9846
O 0.8602 0.4168 0.4823
O 0.8695 0.7512 0.8123
O 0.8824 0.2716 0.5574
O 0.8829 0.0850 0.1493
O 0.8860 0.6050 0.8837
O 0.8912 0.9336 0.2170
O 0.9125 0.7515 0.4977
O 0.9159 0.0480 0.4342
O 0.9238 0.4224 0.1600
O 0.9279 0.0865 0.8276
O 0.9333 0.2733 0.8188
O 0.9341 0.0726 0.5403
O 0.9376 0.6060 0.1536
O 0.9391 0.9391 0.0954
O 0.9405 0.7336 0.2124
O 0.9431 0.4105 0.8662
O 0.9454 0.5800 0.4930
O 0.9476 0.2465 0.1596
O 0.9479 0.2591 0.4398
O 0.9551 0.9157 0.8242
O 0.9647 0.9276 0.5020
O 0.9675 0.6071 0.7629
O 0.9731 0.4042 0.7572
O 0.9801 0.7435 0.1029
O 0.9915 0.1842 0.6595


Entry 2:
# Na6In4Si5Ge4S7O48

A relaxed structure of Na6In4Si5Ge4S7O48 (PBE-GGA, Materials Project).

Properties
DFT total energy in Ha/atom: -0.2282
Total energy after the MP2020 corrections in eV/atom: -6.655

Cell: 8.8202 15.1721 22.4989 Å, 89.85 89.97 89.91°
Positions (direct):
Na 0.0000 0.0000 0.0000
Na 0.0028 0.6849 0.6715
Na 0.0059 0.3425 0.3342
Na 0.0119 0.9986 0.5098
Na 0.0232 0.3275 0.8426
Na 0.0301 0.6712 0.1662
Na 0.1472 0.4971 0.7566
Na 0.1604 0.1673 0.4321
Na 0.3716 0.6646 0.9208
Na 0.3853 0.9975 0.2584
Na 0.4931 0.1740 0.6682
Na 0.5038 0.8220 0.3453
Na 0.5099 0.5016 0.0070
Na 0.5136 0.8298 0.8273
Na 0.5265 0.5012 0.5041
Na 0.5366 0.1882 0.1660
Na 0.6386 0.0027 0.7524
Na 0.8807 0.5019 0.2537
In 0.0206 0.9947 0.3613
In 0.0251 0.6674 0.8142
In 0.0302 0.6680 0.3191
In 0.4937 0.1699 0.8186
In 0.5011 0.4976 0.8590
In 0.5146 0.1712 0.3193
In 0.5244 0.8294 0.9935
In 0.5255 0.8210 0.1781
In 0.5328 0.8272 0.6914
In 0.9910 0.3332 0.1881
In 0.9934 0.3317 0.4973
In 0.9973 0.3250 0.6801
Si 0.1446 0.5170 0.9241
Si 0.1564 0.1756 0.5873
Si 0.2161 0.1644 0.9225
Si 0.2170 0.4992 0.2520
Si 0.3081 0.6655 0.4217
Si 0.3093 0.0020 0.7518
Si 0.3624 0.6753 0.0865
Si 0.3740 0.6413 0.7513
Si 0.3831 0.0188 0.4230
Si 0.6375 0.3644 0.2555
Si 0.6732 0.6922 0.5820
Si 0.6924 0.3353 0.5871
Si 0.8258 0.8319 0.0859
Si 0.8531 0.1914 0.0835
Si 0.8873 0.8663 0.7558
Ge 0.0178 0.6617 0.5200
Ge 0.0237 0.3257 0.9842
Ge 0.0263 0.6653 0.0271
Ge 0.0369 0.0026 0.6564
Ge 0.0430 0.0033 0.8528
Ge 0.4827 0.5021 0.3538
Ge 0.4880 0.5002 0.1543
Ge 0.4950 0.1626 0.5311
Ge 0.4967 0.8266 0.4854
Ge 0.5108 0.1634 0.0176
Ge 0.5278 0.5146 0.6433
Ge 0.9972 0.0063 0.1401
S 0.1502 0.1411 0.2505
S 0.1594 0.8183 0.9242
S 0.1588 0.8582 0.2473
S 0.1634 0.4896 0.5870
S 0.2151 0.8319 0.5833
S 0.3082 0.3309 0.0845
S 0.3602 0.9903 0.0901
S 0.3624 0.3191 0.4230
S 0.3636 0.3542 0.7485
S 0.6489 0.6462 0.2574
S 0.6603 0.0197 0.9211
S 0.6597 0.9794 0.5833
S 0.6616 0.3106 0.9226
S 0.7265 0.6676 0.9216
S 0.7269 0.9988 0.2495
S 0.7992 0.4966 0.7506
S 0.8078 0.1691 0.4211
S 0.8610 0.4818 0.0840
S 0.8621 0.5185 0.4203
S 0.8623 0.8098 0.4221
S 0.8758 0.1463 0.7576
O 0.0645 0.0791 0.5966
O 0.0652 0.4197 0.9373
O 0.0821 0.5488 0.8593
O 0.0824 0.7722 0.2501
O 0.0837 0.9053 0.9175
O 0.0859 0.2295 0.2465
O 0.0860 0.5779 0.5810
O 0.0881 0.2133 0.5248
O 0.0941 0.7779 0.9783
O 0.0951 0.1047 0.3078
O 0.0996 0.4512 0.6420
O 0.0997 0.5836 0.2527
O 0.1000 0.9065 0.1958
O 0.1056 0.0749 0.9139
O 0.1056 0.2492 0.9331
O 0.1100 0.5939 0.9742
O 0.1133 0.0837 0.1989
O 0.1153 0.9103 0.5881
O 0.1157 0.4103 0.2483
O 0.1192 0.7519 0.5744
O 0.1346 0.4350 0.5340
O 0.1368 0.9079 0.3040
O 0.1416 0.7623 0.8710
O 0.1440 0.2404 0.6431
O 0.1801 0.6587 0.0799
O 0.1882 0.6395 0.7476
O 0.1894 0.6469 0.4782
O 0.1933 0.0052 0.0959
O 0.1938 0.3460 0.7468
O 0.1955 0.0153 0.4228
O 0.1958 0.3311 0.4289
O 0.2058 0.0223 0.6938
O 0.2121 0.3477 0.0309
O 0.2136 0.9937 0.8135
O 0.2187 0.3158 0.1385
O 0.2234 0.6928 0.3617
O 0.3031 0.1921 0.8634
O 0.3069 0.8177 0.6365
O 0.3098 0.8496 0.5286
O 0.3129 0.4912 0.3135
O 0.3190 0.1442 0.2512
O 0.3201 0.5179 0.1939
O 0.3269 0.8296 0.9297
O 0.3275 0.8495 0.2449
O 0.3287 0.5027 0.5901
O 0.3311 0.5098 0.9261
O 0.3340 0.1466 0.9799
O 0.3377 0.1571 0.5808
O 0.3727 0.7385 0.1436
O 0.3775 0.2632 0.3689
O 0.3818 0.9341 0.0377
O 0.3886 0.4007 0.8061
O 0.4072 0.2518 0.0760
O 0.4074 0.4102 0.0896
O 0.4122 0.9153 0.7473
O 0.4168 0.7512 0.4323
O 0.4179 0.0966 0.4726
O 0.4184 0.5754 0.4134
O 0.4195 0.5743 0.6950
O 0.4209 0.4002 0.6968
O 0.4235 0.0872 0.7523
O 0.4234 0.9516 0.1454
O 0.4281 0.6061 0.8164
O 0.4294 0.2771 0.4759
O 0.4340 0.7126 0.0247
O 0.4352 0.0778 0.0830
O 0.4389 0.2670 0.7506
O 0.4408 0.4054 0.4159
O 0.4423 0.0524 0.3575
O 0.4447 0.7372 0.7485
O 0.4559 0.5791 0.0967
O 0.4572 0.9208 0.4354
O 0.5580 0.2681 0.2573
O 0.5781 0.4213 0.5988
O 0.5790 0.7350 0.2550
O 0.5805 0.4131 0.1924
O 0.5804 0.9346 0.9265
O 0.5824 0.7403 0.5275
O 0.5864 0.2672 0.9744
O 0.5869 0.6053 0.3125
O 0.5889 0.9500 0.6393
O 0.5924 0.3995 0.9201
O 0.5928 0.2439 0.5733
O 0.5937 0.5934 0.5889
O 0.5975 0.0719 0.5748
O 0.6054 0.0606 0.8652
O 0.6088 0.4291 0.3148
O 0.6174 0.7441 0.9212
O 0.6223 0.5935 0.2029
O 0.6217 0.9227 0.5319
O 0.6245 0.9211 0.2462
O 0.6269 0.0774 0.9744
O 0.6292 0.0792 0.2502
O 0.6325 0.5852 0.9226
O 0.6403 0.2615 0.8667
O 0.6687 0.1739 0.0693
O 0.6712 0.7479 0.6419
O 0.6949 0.4871 0.0891
O 0.6957 0.5103 0.4194
O 0.6969 0.8200 0.4288
O 0.7046 0.8633 0.7542
O 0.7071 0.4999 0.6955
O 0.7082 0.1535 0.7616
O 0.7114 0.1644 0.4735
O 0.7114 0.4821 0.8051
O 0.7228 0.8631 0.0307
O 0.7264 0.1780 0.3642
O 0.7391 0.8121 0.1476
O 0.7876 0.3096 0.6455
O 0.7888 0.3658 0.5296
O 0.8134 0.6755 0.8662
O 0.8161 0.9900 0.3044
O 0.8165 0.6541 0.2614
O 0.8192 0.6670 0.9757
O 0.8214 0.3574 0.2546
O 0.8230 0.0072 0.1954
O 0.8246 0.9863 0.5872
O 0.8260 0.0105 0.9204
O 0.8272 0.3191 0.9306
O 0.8573 0.6743 0.5675
O 0.8594 0.2430 0.1454
O 0.8863 0.7640 0.3649
O 0.8885 0.5790 0.7519
O 0.8981 0.4214 0.0346
O 0.8991 0.5759 0.4724
O 0.9025 0.0935 0.7030
O 0.9042 0.0871 0.4201
O 0.9093 0.4210 0.7471
O 0.9147 0.2457 0.4219
O 0.9171 0.5574 0.3635
O 0.9171 0.9311 0.8154
O 0.9228 0.5723 0.0745
O 0.9272 0.7421 0.0740
O 0.9317 0.4539 0.1412
O 0.9320 0.8995 0.4212
O 0.9355 0.0925 0.0911
O 0.9363 0.7650 0.4727
O 0.9386 0.1062 0.8128
O 0.9391 0.4319 0.4251
O 0.9426 0.2413 0.0300
O 0.9427 0.9172 0.0943
O 0.9443 0.2350 0.7548
O 0.9471 0.9145 0.6923
O 0.9639 0.7704 0.7581


So what do the calculations give for density? Going down the list: 3.39; 3.34 g cm⁻³.